w) Entry from Materials Project: Fe4O3F5 after structural relaxation (PBE+U).

Properties
Piezoelectric modulus e_max, C/m²: 0.7
M_tot, μB per cell: 38.0

abc: 6.1900 7.0360 6.5572
angles: 90.00 90.00 90.00
Space group Amm2 (No. 38)
Inequivalent atoms, fractional coordinates:
Fe1 0.0000 0.0000 0.0000 x2
Fe2 0.2381 0.0000 0.4992 x4
Fe3 0.5000 0.0000 0.0340 x2
O1 0.0000 0.0000 0.3012 x2
O2 0.0000 0.0000 0.7054 x2
O3 0.5000 0.0000 0.3400 x2
F1 0.2416 0.1987 0.0092 x8
F2 0.5000 0.0000 0.7171 x2

x) Entry from Materials Project: Fe4O3F5 after structural relaxation (PBE+U).

Properties
M_tot, μB per cell: 38.0

abc: 4.8082 6.2123 10.0527
angles: 107.83 92.66 90.14
Space group P1 (No. 1)
Inequivalent atoms, fractional coordinates:
Fe1 0.0000 0.0000 0.0000 x1
Fe2 0.0059 0.7518 0.5196 x1
Fe3 0.4622 0.8772 0.2393 x1
Fe4 0.4688 0.3670 0.2345 x1
Fe5 0.4896 0.1331 0.7497 x1
Fe6 0.5183 0.6146 0.7335 x1
Fe7 0.9397 0.2567 0.4852 x1
Fe8 0.9839 0.5031 0.9911 x1
O1 0.2809 0.5786 0.1479 x1
O2 0.2920 0.0788 0.1501 x1
O3 0.3012 0.8229 0.6533 x1
O4 0.6684 0.1712 0.3378 x1
O5 0.6919 0.4352 0.8422 x1
O6 0.7932 0.5465 0.5868 x1
F1 0.1664 0.9518 0.4037 x1
F2 0.1714 0.4552 0.3954 x1
F3 0.1718 0.2136 0.8994 x1
F4 0.1925 0.6896 0.8930 x1
F5 0.2769 0.3303 0.6324 x1
F6 0.6797 0.6796 0.3477 x1
F7 0.6914 0.9123 0.8470 x1
F8 0.7824 0.3119 0.0933 x1
F9 0.7868 0.7914 0.0972 x1
F10 0.8037 0.0478 0.5896 x1

y) Entry from Materials Project: Fe4O3F5 after structural relaxation (PBE+U).

Properties
M_tot, μB per cell: 4.0

abc: 7.0142 6.5207 12.3762
angles: 90.00 90.00 90.00
Space group Cmcm (No. 63)
Inequivalent atoms, fractional coordinates:
Fe1 0.0000 0.0000 0.0000 x4
Fe2 0.0000 0.0264 0.2500 x4
Fe3 0.0000 0.4905 0.1190 x8
O1 0.0000 0.2982 0.5026 x8
O2 0.0000 0.3287 0.2500 x4
F1 0.0000 0.2876 0.7500 x4
F2 0.2007 0.0035 0.1196 x16

How far above the most stable structure does each one sit? In kJ/mol of atoms: w) 4.2; x) 5.7; y) 0.0.

w) Entry from Materials Project: Li3Co3P4O16 after structural relaxation (PBE+U).

Properties
M_tot, μB per cell: 8.0

abc: 5.0806 7.6840 8.0172
angles: 87.90 89.10 85.69
Space group P1 (No. 1)
Inequivalent atoms, fractional coordinates:
Li1 0.0000 0.0000 0.0000 x1
Li2 0.1767 0.8073 0.7226 x1
Li3 0.6902 0.2999 0.4976 x1
Co1 0.0870 0.9273 0.3726 x1
Co2 0.4934 0.5038 0.2171 x1
Co3 0.5721 0.3926 0.8380 x1
P1 0.0533 0.6012 0.0518 x1
P2 0.1203 0.2032 0.6682 x1
P3 0.5517 0.1047 0.1663 x1
P4 0.6229 0.7080 0.5484 x1
O1 0.0274 0.7567 0.9349 x1
O2 0.0418 0.1521 0.4881 x1
O3 0.1430 0.0479 0.7878 x1
O4 0.1579 0.6435 0.2304 x1
O5 0.2719 0.4557 0.0020 x1
O6 0.2845 0.0176 0.1761 x1
O7 0.3903 0.2912 0.6605 x1
O8 0.4054 0.8518 0.5021 x1
O9 0.5291 0.2624 0.2856 x1
O10 0.5482 0.6357 0.7258 x1
O11 0.6260 0.1681 0.9870 x1
O12 0.6361 0.5540 0.4261 x1
O13 0.7756 0.9696 0.2250 x1
O14 0.7818 0.5165 0.0679 x1
O15 0.8962 0.7875 0.5431 x1
O16 0.9037 0.3473 0.7153 x1

x) Entry from Materials Project: Li3Co3P4O16 after structural relaxation (PBE+U).

Properties
M_tot, μB per cell: 12.0

abc: 8.8482 7.8784 9.3152
angles: 90.00 113.32 90.00
Space group P2_1 (No. 4)
Inequivalent atoms, fractional coordinates:
Li1 0.0936 0.0000 0.2555 x2
Li2 0.0937 0.2275 0.7611 x2
Li3 0.3965 0.5005 0.2414 x2
Co1 0.0133 0.3693 0.2383 x2
Co2 0.3924 0.7141 0.7407 x2
Co3 0.4959 0.8547 0.2507 x2
P1 0.1343 0.5413 0.5692 x2
P2 0.1389 0.6801 0.0772 x2
P3 0.3629 0.0507 0.9166 x2
P4 0.3703 0.1644 0.4201 x2
O1 0.0480 0.6763 0.8928 x2
O2 0.0492 0.4240 0.6380 x2
O3 0.0529 0.7995 0.1450 x2
O4 0.0536 0.5522 0.3898 x2
O5 0.1487 0.4948 0.1372 x2
O6 0.1606 0.7256 0.6458 x2
O7 0.1842 0.0072 0.8895 x2
O8 0.1915 0.2256 0.3843 x2
O9 0.3225 0.7254 0.1094 x2
O10 0.3285 0.5058 0.6195 x2
O11 0.3583 0.9837 0.3492 x2
O12 0.3613 0.2283 0.8443 x2
O13 0.4475 0.9190 0.8500 x2
O14 0.4560 0.2862 0.3449 x2
O15 0.4659 0.1667 0.6011 x2
O16 0.4670 0.0504 0.1005 x2

How far above the most stable structure does each one sit? In kJ/mol of atoms: w) 0.0; x) 0.5.

w) Entry from Materials Project: MgVCr2Fe3P6O24 after structural relaxation (PBE+U).

Properties
M_tot, μB per cell: 25.0

abc: 8.4904 8.6220 8.7123
angles: 92.40 117.52 119.09
Space group P1 (No. 1)
Inequivalent atoms, fractional coordinates:
Mg1 0.0000 0.0000 0.0000 x1
V1 0.8210 0.5029 0.7139 x1
Cr1 0.1143 0.3716 0.8599 x1
Cr2 0.1182 0.8704 0.3775 x1
Fe1 0.3920 0.7144 0.5060 x1
Fe2 0.4216 0.2298 0.0202 x1
Fe3 0.8125 0.0108 0.2200 x1
P1 0.2993 0.8236 0.1093 x1
P2 0.3216 0.3164 0.3272 x1
P3 0.5912 0.6040 0.8922 x1
P4 0.6379 0.1131 0.8285 x1
P5 0.8895 0.9016 0.6041 x1
P6 0.9025 0.4165 0.4020 x1
O1 0.0529 0.0877 0.7829 x1
O2 0.0796 0.6136 0.4214 x1
O3 0.1292 0.1090 0.2890 x1
O4 0.1381 0.6296 0.9504 x1
O5 0.2480 0.9694 0.0450 x1
O6 0.2746 0.8083 0.2752 x1
O7 0.2769 0.2853 0.1272 x1
O8 0.2929 0.4715 0.3620 x1
O9 0.4249 0.4503 0.9279 x1
O10 0.4515 0.9523 0.6422 x1
O11 0.4692 0.6567 0.7372 x1
O12 0.5263 0.8902 0.1615 x1
O13 0.5267 0.3439 0.4776 x1
O14 0.5333 0.1711 0.9003 x1
O15 0.6665 0.8596 0.5293 x1
O16 0.6840 0.3779 0.2563 x1
O17 0.7079 0.5336 0.8546 x1
O18 0.7767 0.0570 0.9731 x1
O19 0.7818 0.7836 0.0724 x1
O20 0.8046 0.2772 0.8025 x1
O21 0.9124 0.7478 0.6672 x1
O22 0.9248 0.2599 0.3495 x1
O23 0.9352 0.4280 0.5932 x1
O24 0.9433 0.9327 0.4538 x1

x) Entry from Materials Project: MgVCr2Fe3P6O24 after structural relaxation (PBE+U).

Properties
M_tot, μB per cell: 22.2

abc: 8.5885 8.6814 8.6888
angles: 119.91 90.34 119.01
Space group P1 (No. 1)
Inequivalent atoms, fractional coordinates:
Mg1 0.0000 0.0000 0.0000 x1
V1 0.2860 0.5203 0.7596 x1
Cr1 0.4041 0.2628 0.1322 x1
Cr2 0.8750 0.2402 0.6213 x1
Fe1 0.4492 0.9605 0.4831 x1
Fe2 0.6455 0.7540 0.8775 x1
Fe3 0.8445 0.5610 0.2792 x1
P1 0.1446 0.0526 0.6747 x1
P2 0.1527 0.4694 0.3779 x1
P3 0.1540 0.7711 0.0924 x1
P4 0.6307 0.7420 0.1754 x1
P5 0.6324 0.0527 0.8801 x1
P6 0.6400 0.4491 0.5716 x1
O1 0.0984 0.2136 0.6884 x1
O2 0.1127 0.4139 0.5264 x1
O3 0.1156 0.5847 0.8896 x1
O4 0.1902 0.1014 0.8757 x1
O5 0.1931 0.9648 0.0868 x1
O6 0.1965 0.3116 0.2254 x1
O7 0.3187 0.0858 0.6161 x1
O8 0.3223 0.6974 0.4676 x1
O9 0.3282 0.8554 0.2340 x1
O10 0.4577 0.6260 0.0057 x1
O11 0.4619 0.8302 0.8231 x1
O12 0.4648 0.4427 0.6255 x1
O13 0.6125 0.2257 0.0448 x1
O14 0.6139 0.5565 0.1810 x1
O15 0.6164 0.4200 0.3782 x1
O16 0.6438 0.9084 0.3690 x1
O17 0.6480 0.0892 0.7233 x1
O18 0.6601 0.2729 0.5525 x1
O19 0.8055 0.8587 0.1278 x1
O20 0.8087 0.0620 0.9401 x1
O21 0.8129 0.6705 0.7338 x1
O22 0.9680 0.8261 0.5306 x1
O23 0.9713 0.4335 0.2930 x1
O24 0.9752 0.6741 0.1417 x1

How far above the most stable structure does each one sit? In kJ/mol of atoms: w) 0.0; x) 4.3.

w) Entry from Materials Project: LiNiP3O9 after structural relaxation (PBE+U).

Properties
M_tot, μB per cell: 8.0

abc: 8.4187 8.5681 8.6834
angles: 90.00 90.00 90.00
Space group P2_12_12_1 (No. 19)
Inequivalent atoms, fractional coordinates:
Li1 0.1518 0.1328 0.1159 x4
Ni1 0.1306 0.8545 0.3433 x4
P1 0.0303 0.3199 0.8179 x4
P2 0.1839 0.4795 0.3100 x4
P3 0.2033 0.8102 0.9414 x4
O1 0.0409 0.7732 0.8469 x4
O2 0.0889 0.6161 0.3674 x4
O3 0.1036 0.8723 0.5795 x4
O4 0.1162 0.3843 0.1792 x4
O5 0.1341 0.1903 0.8785 x4
O6 0.1402 0.4644 0.7635 x4
O7 0.1591 0.8633 0.0998 x4
O8 0.1882 0.0898 0.3448 x4
O9 0.2234 0.3640 0.4527 x4

x) Entry from Materials Project: LiNiP3O9 after structural relaxation (PBE+U).

Properties
M_tot, μB per cell: 8.0

abc: 5.0844 11.9953 13.0177
angles: 90.00 90.00 90.00
Space group Pbcm (No. 57)
Inequivalent atoms, fractional coordinates:
Li1 0.0171 0.9996 0.2500 x4
Ni1 0.0000 0.0000 0.0000 x4
P1 0.2421 0.2500 0.0000 x4
P2 0.4987 0.5844 0.1352 x8
O1 0.0958 0.1563 0.5500 x8
O2 0.2095 0.5560 0.1336 x8
O3 0.3058 0.5037 0.6037 x8
O4 0.4196 0.1215 0.2500 x4
O5 0.4562 0.2009 0.0804 x8

How far above the most stable structure does each one sit? In kJ/mol of atoms: w) 0.0; x) 2.7.